Entry 1:
{
  "formula": "Mg6TiFe",
  "functional": "PBE-GGA",
  "state": "optimized geometry",
  "cell": [[-1.269, 0.709, 4.556], [5.618, -1.505, 1.799], [3.068, 10.514, -0.781]],
  "species": ["Mg", "Fe", "Mg", "Mg", "Mg", "Fe", "Mg", "Mg", "Mg", "Mg", "Mg", "Mg", "Mg", "Ti", "Ti", "Mg"],
  "fractional_positions": [[0.500, 0.500, 0.666], [0.000, 0.500, 0.306], [0.500, 0.260, 0.421], [0.500, 0.000, 0.166], [0.000, 0.000, 0.331], [0.000, 0.000, 0.806], [0.000, 0.500, 0.831], [0.500, 0.240, 0.921], [0.000, 0.241, 0.583], [0.500, 0.760, 0.921], [0.000, 0.259, 0.083], [0.000, 0.759, 0.583], [0.000, 0.741, 0.083], [0.500, 0.500, 0.190], [0.500, 0.000, 0.690], [0.500, 0.740, 0.421]],
  "e_above_lowest_polymorph_kcal_per_mol_atoms": 0.00,
  "magmom_total_mub_per_fu": 0.9
}

---

Entry 2:
{
  "formula": "TmCu3Te3",
  "functional": "PBE-GGA",
  "state": "optimized geometry",
  "cell": [[-2.973, 3.014, 5.489], [3.773, -4.720, 4.636], [9.694, 8.385, 0.646]],
  "species": ["Cu", "Te", "Cu", "Te", "Cu", "Cu", "Te", "Te", "Cu", "Cu", "Te", "Tm", "Cu", "Tm", "Cu", "Te", "Te", "Te", "Cu", "Te", "Te", "Te", "Cu", "Tm", "Cu", "Tm", "Cu", "Te"],
  "fractional_positions": [[0.871, 0.878, 0.000], [0.008, 0.566, 0.337], [0.620, 0.618, 0.674], [0.508, 0.434, 0.163], [0.371, 0.122, 0.500], [0.116, 0.379, 0.500], [0.478, 0.934, 0.337], [0.490, 0.948, 0.000], [0.366, 0.118, 0.826], [0.120, 0.382, 0.174], [0.497, 0.448, 0.500], [0.243, 0.750, 0.838], [0.616, 0.621, 0.000], [0.243, 0.750, 0.162], [0.366, 0.118, 0.174], [0.978, 0.066, 0.163], [0.997, 0.552, 0.000], [0.478, 0.934, 0.663], [0.866, 0.882, 0.674], [0.978, 0.066, 0.837], [0.990, 0.052, 0.500], [0.508, 0.434, 0.837], [0.120, 0.382, 0.826], [0.743, 0.250, 0.662], [0.866, 0.882, 0.326], [0.743, 0.250, 0.338], [0.620, 0.618, 0.326], [0.008, 0.566, 0.663]],
  "e_above_lowest_polymorph_kcal_per_mol_atoms": 0.00
}

---

Entry 3:
{
  "formula": "K2Mg2S3O12",
  "functional": "PBE-GGA",
  "state": "optimized geometry",
  "cell": [[10.072, 0.000, 0.000], [0.000, 10.072, 0.000], [0.000, 0.000, 10.072]],
  "species": ["Mg", "O", "O", "O", "O", "Mg", "O", "O", "Mg", "O", "O", "O", "O", "S", "K", "O", "S", "K", "K", "S", "O", "S", "O", "O", "O", "Mg", "S", "K", "O", "O", "O", "S", "O", "O", "S", "S", "O", "O", "S", "O", "O", "O", "O", "O", "O", "O", "O", "K", "K", "K", "Mg", "O", "O", "S", "O", "O", "O", "O", "O", "O", "O", "O", "O", "O", "K", "O", "Mg", "O", "Mg", "O", "S", "O", "O", "S", "O", "Mg"],
  "fractional_positions": [[0.914, 0.586, 0.414], [0.208, 0.475, 0.946], [0.326, 0.739, 0.921], [0.174, 0.261, 0.421], [0.792, 0.975, 0.554], [0.849, 0.151, 0.651], [0.249, 0.016, 0.193], [0.004, 0.909, 0.152], [0.151, 0.651, 0.849], [0.292, 0.525, 0.446], [0.054, 0.708, 0.025], [0.579, 0.674, 0.239], [0.152, 0.004, 0.909], [0.769, 0.126, 0.966], [0.701, 0.201, 0.299], [0.693, 0.251, 0.984], [0.966, 0.769, 0.126], [0.299, 0.701, 0.201], [0.799, 0.799, 0.799], [0.126, 0.966, 0.769], [0.975, 0.554, 0.792], [0.534, 0.231, 0.626], [0.409, 0.348, 0.996], [0.749, 0.484, 0.807], [0.909, 0.152, 0.004], [0.349, 0.349, 0.349], [0.374, 0.034, 0.269], [0.433, 0.067, 0.933], [0.739, 0.921, 0.326], [0.504, 0.591, 0.848], [0.251, 0.984, 0.693], [0.269, 0.374, 0.034], [0.984, 0.693, 0.251], [0.025, 0.054, 0.708], [0.231, 0.626, 0.534], [0.626, 0.534, 0.231], [0.079, 0.826, 0.761], [0.807, 0.749, 0.484], [0.731, 0.874, 0.466], [0.525, 0.446, 0.292], [0.516, 0.307, 0.751], [0.751, 0.516, 0.307], [0.475, 0.946, 0.208], [0.708, 0.025, 0.054], [0.016, 0.193, 0.249], [0.996, 0.409, 0.348], [0.484, 0.807, 0.749], [0.201, 0.299, 0.701], [0.567, 0.567, 0.567], [0.067, 0.933, 0.433], [0.086, 0.086, 0.086], [0.239, 0.579, 0.674], [0.674, 0.239, 0.579], [0.034, 0.269, 0.374], [0.946, 0.208, 0.475], [0.091, 0.652, 0.496], [0.921, 0.326, 0.739], [0.421, 0.174, 0.261], [0.591, 0.848, 0.504], [0.193, 0.249, 0.016], [0.761, 0.079, 0.826], [0.446, 0.292, 0.525], [0.826, 0.761, 0.079], [0.554, 0.792, 0.975], [0.933, 0.433, 0.067], [0.496, 0.091, 0.652], [0.414, 0.914, 0.586], [0.307, 0.751, 0.516], [0.651, 0.849, 0.151], [0.652, 0.496, 0.091], [0.874, 0.466, 0.731], [0.348, 0.996, 0.409], [0.261, 0.421, 0.174], [0.466, 0.731, 0.874], [0.848, 0.504, 0.591], [0.586, 0.414, 0.914]]
}

---

Entry 4:
{
  "formula": "Hf2Be17",
  "functional": "PBE-GGA",
  "state": "optimized geometry",
  "cell": [[3.738, -6.475, 0.000], [3.738, 6.475, 0.000], [0.000, 0.000, 21.767]],
  "species": ["Be", "Be", "Be", "Be", "Be", "Be", "Be", "Hf", "Be", "Be", "Hf", "Be", "Be", "Hf", "Be", "Be", "Be", "Be", "Be", "Hf", "Hf", "Be", "Be", "Be", "Be", "Be", "Be", "Be", "Be", "Be", "Be", "Be", "Be", "Be", "Be", "Be", "Be", "Be", "Be", "Be", "Be", "Hf", "Be", "Be", "Be", "Be", "Be", "Be", "Be", "Be", "Be", "Hf", "Be", "Be", "Be", "Be", "Be", "Be", "Be", "Be", "Be", "Hf", "Be", "Be", "Be", "Be", "Be", "Be", "Be", "Be", "Be", "Be", "Be", "Be", "Hf", "Be", "Be", "Be", "Be", "Hf", "Be", "Be", "Be", "Be", "Hf", "Be", "Be", "Be", "Be", "Hf", "Be", "Be", "Be", "Be", "Be", "Be", "Be", "Be", "Be", "Be", "Be", "Be", "Be", "Be", "Be", "Be", "Be", "Be", "Be", "Be", "Be", "Be", "Be", "Be"],
  "fractional_positions": [[0.165, 0.835, 0.504], [0.835, 0.669, 0.004], [0.622, 0.667, 0.417], [0.833, 0.167, 0.834], [0.498, 0.996, 0.829], [0.622, 0.955, 0.083], [0.004, 0.502, 0.671], [0.333, 0.667, 0.914], [0.500, 0.500, 0.000], [0.333, 0.667, 0.465], [0.333, 0.667, 0.250], [0.832, 0.665, 0.163], [0.500, 0.500, 0.500], [0.333, 0.667, 0.586], [0.168, 0.335, 0.837], [0.165, 0.331, 0.504], [0.502, 0.498, 0.329], [0.167, 0.833, 0.166], [0.832, 0.168, 0.163], [0.000, 0.000, 0.919], [0.000, 0.000, 0.581], [0.502, 0.498, 0.171], [0.835, 0.165, 0.004], [0.378, 0.045, 0.917], [0.333, 0.378, 0.417], [0.667, 0.833, 0.166], [0.289, 0.001, 0.250], [0.622, 0.667, 0.083], [0.045, 0.378, 0.417], [0.712, 0.001, 0.250], [0.378, 0.333, 0.583], [0.333, 0.167, 0.834], [0.832, 0.168, 0.337], [0.667, 0.833, 0.334], [0.498, 0.502, 0.671], [0.168, 0.335, 0.663], [0.165, 0.835, 0.996], [0.833, 0.667, 0.666], [0.333, 0.955, 0.083], [0.667, 0.045, 0.917], [0.996, 0.498, 0.171], [0.667, 0.333, 0.750], [0.669, 0.835, 0.996], [0.000, 0.000, 0.701], [0.955, 0.333, 0.917], [0.333, 0.667, 0.131], [0.667, 0.045, 0.583], [0.167, 0.333, 0.334], [0.835, 0.165, 0.496], [0.500, 0.000, 0.000], [0.378, 0.333, 0.917], [0.667, 0.333, 0.250], [0.168, 0.832, 0.663], [0.045, 0.667, 0.417], [0.833, 0.167, 0.666], [0.498, 0.996, 0.671], [0.665, 0.832, 0.663], [0.999, 0.711, 0.250], [0.288, 0.289, 0.750], [0.045, 0.378, 0.083], [0.000, 0.000, 0.201], [0.667, 0.333, 0.414], [0.711, 0.712, 0.750], [0.667, 0.333, 0.535], [0.502, 0.004, 0.171], [0.331, 0.165, 0.496], [0.999, 0.288, 0.250], [0.000, 0.500, 0.500], [0.378, 0.045, 0.583], [0.712, 0.711, 0.250], [0.622, 0.955, 0.417], [0.000, 0.000, 0.299], [0.335, 0.168, 0.163], [0.667, 0.622, 0.583], [0.000, 0.000, 0.419], [0.667, 0.333, 0.869], [0.835, 0.669, 0.496], [0.333, 0.378, 0.083], [0.667, 0.622, 0.917], [0.333, 0.667, 0.750], [0.331, 0.165, 0.004], [0.000, 0.500, 0.000], [0.333, 0.955, 0.417], [0.001, 0.289, 0.750], [0.000, 0.000, 0.081], [0.667, 0.333, 0.965], [0.000, 0.000, 0.799], [0.288, 0.999, 0.750], [0.502, 0.004, 0.329], [0.667, 0.333, 0.086], [0.711, 0.999, 0.750], [0.498, 0.502, 0.829], [0.333, 0.667, 0.369], [0.955, 0.622, 0.583], [0.004, 0.502, 0.829], [0.832, 0.665, 0.337], [0.500, 0.000, 0.500], [0.996, 0.498, 0.329], [0.335, 0.168, 0.337], [0.665, 0.832, 0.837], [0.165, 0.331, 0.996], [0.955, 0.622, 0.917], [0.333, 0.667, 0.035], [0.289, 0.288, 0.250], [0.955, 0.333, 0.583], [0.833, 0.667, 0.834], [0.167, 0.833, 0.334], [0.333, 0.167, 0.666], [0.667, 0.333, 0.631], [0.669, 0.835, 0.504], [0.001, 0.712, 0.750], [0.045, 0.667, 0.083], [0.168, 0.832, 0.837], [0.167, 0.333, 0.166]],
  "magmom_total_mub_per_fu": 0.0
}

---

The records above yield uncorrected energy values of -3.081 -4.271 -6.017 -4.622 eV/atom, respectively.
The records above yield calculated density values of 2.59 7.28 2.70 4.82 g/cm³, respectively.
The records above yield ΔE_f values of 0.16 -0.71 -2.39 -0.23 eV per atom, respectively.